# 1
The following is a PBE calculation of a relaxed structure of Hf8FeTe6, from the Materials Project.

Geometry as POSCAR:
```
Hf8FeTe6
1.0
-1.2033 3.4995 -0.5291
-3.2269 -2.1156 -6.6539
-22.1328 -5.7125 12.5499
Hf Te Fe
16 12 2
direct
0.0000 0.0561 0.5994 Hf
0.5000 0.0738 0.5000 Hf
0.5000 0.7392 0.5661 Hf
0.5000 0.9423 0.3015 Hf
0.0000 0.2608 0.9339 Hf
0.0000 0.4592 0.5000 Hf
0.0000 0.0577 0.1985 Hf
0.5000 0.9439 0.9006 Hf
0.0000 0.9262 0.0000 Hf
0.5000 0.9439 0.0994 Hf
0.5000 0.5408 0.0000 Hf
0.5000 0.7392 0.4339 Hf
0.5000 0.9423 0.6985 Hf
0.0000 0.0577 0.8015 Hf
0.0000 0.0561 0.4006 Hf
0.0000 0.2608 0.0661 Hf
0.0000 0.6493 0.0821 Te
0.5000 0.3507 0.4179 Te
0.0000 0.2245 0.7025 Te
0.0000 0.6493 0.9179 Te
0.5000 0.3006 0.1559 Te
0.5000 0.7755 0.2025 Te
0.5000 0.3507 0.5821 Te
0.5000 0.3006 0.8441 Te
0.5000 0.7755 0.7975 Te
0.0000 0.6994 0.3441 Te
0.0000 0.6994 0.6559 Te
0.0000 0.2245 0.2975 Te
0.5000 0.1838 0.0000 Fe
0.0000 0.8162 0.5000 Fe
```

Properties
V = 24.99 Å³/atom
SG = Pmmn (59)
DFT formation energy = -0.79 eV/atom


# 2
The following is a PBE calculation of a relaxed structure of Mg5Sb, from the Materials Project.

Geometry as POSCAR:
```
Mg5Sb
1.0
1.6282 -8.1172 0.0000
1.6282 8.1172 0.0000
0.0000 0.0000 5.3195
Mg Sb
5 1
direct
0.6657 0.3343 0.5000 Mg
0.4467 0.5533 0.0000 Mg
0.0007 0.9993 0.5000 Mg
0.1099 0.8901 0.0000 Mg
0.3333 0.6667 0.5000 Mg
0.7771 0.2229 0.0000 Sb
```

Properties
V = 23.43 Å³/atom
SG = Amm2 (38)
DFT formation energy = -0.11 eV/atom


# 3
The following is a PBE calculation of a relaxed structure of YMg, from the Materials Project.

Geometry as POSCAR:
```
YMg
1.0
4.4502 -4.9579 0.5882
4.9310 -3.6740 -2.6301
6.5788 3.5365 2.3938
Y Mg
3 3
direct
0.2792 0.2792 0.9449 Y
0.6678 0.6678 0.6582 Y
0.9979 0.9979 0.0090 Y
0.9424 0.9424 0.6049 Mg
0.6098 0.6098 0.2808 Mg
0.3362 0.3362 0.3356 Mg
```

Properties
V = 28.51 Å³/atom
SG = Cm (8)
DFT formation energy = 0.01 eV/atom


# 4
The following is a PBE calculation of a relaxed structure of Er3CoSi3, from the Materials Project.

Geometry as POSCAR:
```
Er3CoSi3
1.0
2.9193 -1.1360 -4.6395
3.8864 -3.7214 -1.5443
-5.8391 -10.0708 -6.5877
Er Si Co
6 6 2
direct
0.3990 0.3990 0.9196 Er
0.6010 0.6010 0.0804 Er
0.2533 0.2533 0.2285 Er
0.7467 0.7467 0.7715 Er
0.5250 0.5250 0.6207 Er
0.4750 0.4750 0.3793 Er
0.8611 0.8611 0.5440 Si
0.9482 0.9482 0.2410 Si
0.1389 0.1389 0.4560 Si
0.8845 0.8845 0.0760 Si
0.0518 0.0518 0.7590 Si
0.1155 0.1155 0.9240 Si
0.7528 0.7528 0.4171 Co
0.2472 0.2472 0.5829 Co
```

Properties
V = 19.23 Å³/atom
SG = C2/m (12)
DFT formation energy = -0.77 eV/atom


# 5
The following is a PBE calculation of a relaxed structure of ErB2C2, from the Materials Project.

Geometry as POSCAR:
```
ErB2C2
1.0
-3.2321 -3.4632 2.4614
-0.3345 -2.8756 -4.4852
2.7881 -1.8891 1.0032
C B Er
4 4 2
direct
0.8379 0.6621 0.5000 C
0.6621 0.1621 0.5000 C
0.3379 0.8379 0.5000 C
0.1621 0.3379 0.5000 C
0.1365 0.6365 0.5000 B
0.3635 0.1365 0.5000 B
0.6365 0.8635 0.5000 B
0.8635 0.3635 0.5000 B
0.5000 0.5000 0.0000 Er
0.0000 0.0000 0.0000 Er
```

Properties
V = 10.01 Å³/atom
SG = P4/mbm (127)
DFT formation energy = -0.44 eV/atom


# 6
The following is a PBE calculation of a relaxed structure of SrAl3PSO14, from the Materials Project.

Geometry as POSCAR:
```
SrAl3PSO14
1.0
6.1969 -3.4814 0.0000
6.1969 3.4814 0.0000
4.2411 0.0000 5.7039
O Al P Sr S
14 3 1 1 1
direct
0.3882 0.3882 0.3882 O
0.7502 0.7502 0.0920 O
0.6061 0.6061 0.6061 O
0.2513 0.9104 0.2513 O
0.8457 0.4843 0.8457 O
0.2513 0.2513 0.9104 O
0.0920 0.7502 0.7502 O
0.1585 0.5079 0.1585 O
0.7502 0.0920 0.7502 O
0.8457 0.8457 0.4843 O
0.5079 0.1585 0.1585 O
0.9104 0.2513 0.2513 O
0.4843 0.8457 0.8457 O
0.1585 0.1585 0.5079 O
0.9989 0.9989 0.5009 Al
0.5009 0.9989 0.9989 Al
0.9989 0.5009 0.9989 Al
0.6936 0.6936 0.6936 P
0.0007 0.0007 0.0007 Sr
0.3068 0.3068 0.3068 S
```

Properties
V = 12.31 Å³/atom
SG = R3m (160)
DFT formation energy = -2.31 eV/atom


# 7
The following is a PBE calculation of a relaxed structure of Li3MgPCO7, from the Materials Project.

Geometry as POSCAR:
```
Li3MgPCO7
1.0
-1.0040 4.4208 -4.5528
0.1597 -3.6161 -3.5465
-8.1931 -1.3175 0.5275
O Mg Li C P
14 2 6 2 2
direct
0.2076 0.6637 0.3672 O
0.2692 0.2512 0.9052 O
0.7305 0.3245 0.0310 O
0.7745 0.8909 0.5072 O
0.2745 0.1091 0.4928 O
0.4435 0.0096 0.2297 O
0.9435 0.9904 0.7703 O
0.2305 0.6755 0.9690 O
0.7692 0.7488 0.0948 O
0.7076 0.3363 0.6328 O
0.5622 0.9105 0.7658 O
0.7266 0.4347 0.2915 O
0.0622 0.0895 0.2342 O
0.2266 0.5653 0.7085 O
0.7487 0.0233 0.2805 Mg
0.2487 0.9767 0.7195 Mg
0.6832 0.5438 0.8279 Li
0.9979 0.9826 0.9996 Li
0.4979 0.0174 0.0004 Li
0.4431 0.4468 0.4979 Li
0.9431 0.5532 0.5021 Li
0.1832 0.4562 0.1721 Li
0.2404 0.4972 0.8605 C
0.7404 0.5028 0.1395 C
0.7473 0.0365 0.6672 P
0.2473 0.9635 0.3328 P
```

Properties
piezoelectric modulus e_max = 0.58 C/m²
V = 10.41 Å³/atom
SG = P2_1 (4)
DFT formation energy = -2.59 eV/atom


# 8
The following is a PBE calculation of a relaxed structure of EuTmO3, from the Materials Project.

Geometry as POSCAR:
```
EuTmO3
1.0
6.0176 0.0000 0.0000
0.0000 8.2429 0.0000
0.0000 0.0000 5.8043
Tm O Eu
4 12 4
direct
0.5000 0.5000 0.0000 Tm
0.0000 0.5000 0.5000 Tm
0.0000 0.0000 0.5000 Tm
0.5000 0.0000 0.0000 Tm
0.8152 0.0659 0.8186 O
0.8152 0.4341 0.8186 O
0.5649 0.7500 0.8720 O
0.3152 0.4341 0.6814 O
0.1848 0.9341 0.1814 O
0.9351 0.2500 0.3720 O
0.4351 0.2500 0.1280 O
0.6848 0.9341 0.3186 O
0.1848 0.5659 0.1814 O
0.0649 0.7500 0.6280 O
0.6848 0.5659 0.3186 O
0.3152 0.0659 0.6814 O
0.0527 0.2500 0.9903 Eu
0.5527 0.2500 0.5097 Eu
0.4473 0.7500 0.4903 Eu
0.9473 0.7500 0.0097 Eu
```

Properties
V = 14.40 Å³/atom
SG = Pnma (62)
DFT formation energy = -3.54 eV/atom